No. 1
# Ta3I7

An optimized crystal structure of Ta3I7 (meta-GGA r2SCAN, the Materials Project database).

Cell lengths 15.2526, 15.1804, 12.8587 Å; angles 90.00, 90.00, 90.00 degrees
Space group Cmce (No. 64)
One atom of each set of equivalent atoms:
Ta1 0.0000 0.1022 0.0696 (multiplicity 8)
Ta2 0.1016 0.0506 0.8958 (multiplicity 16)
I1 0.0000 0.1278 0.7372 (multiplicity 8)
I2 0.1222 0.0965 0.2345 (multiplicity 16)
I3 0.1228 0.2203 0.9819 (multiplicity 16)
I4 0.2445 0.0000 0.5000 (multiplicity 8)
I5 0.2500 0.1338 0.7500 (multiplicity 8)

Results
- crystal system = orthorhombic
- size of the total moment (μB/f.u.) = 0.0
- calculated formation energy (eV/atom) = -0.565
- raw total energy (Ry/atom) = -2.3765



No. 2
# LiHo2Os

An optimized crystal structure of LiHo2Os (meta-GGA r2SCAN, the Materials Project database).

Cell lengths 6.8574, 6.8574, 6.8574 Å; angles 90.00, 90.00, 90.00 degrees
Space group Fm-3m (No. 225)
One atom of each set of equivalent atoms:
Li1 0.0000 0.0000 0.0000 (multiplicity 4)
Ho1 0.2500 0.2500 0.2500 (multiplicity 8)
Os1 0.0000 0.0000 0.5000 (multiplicity 4)

Results
- crystal system = cubic
- size of the total moment (μB/f.u.) = 0.0
- calculated formation energy (eV/atom) = -0.299
- raw total energy (Ry/atom) = -2.2478



No. 3
# Li9Nb14S28

An optimized crystal structure of Li9Nb14S28 (meta-GGA r2SCAN, the Materials Project database).

Cell lengths 5.8445, 12.1783, 13.3321 Å; angles 104.23, 90.03, 103.87 degrees
Space group P-1 (No. 2)
One atom of each set of equivalent atoms:
Li1 0.0000 0.0000 0.0000 (multiplicity 1)
Li2 0.0704 0.1422 0.4999 (multiplicity 2)
Li3 0.2134 0.4284 0.5000 (multiplicity 2)
Li4 0.2849 0.5696 0.9998 (multiplicity 2)
Li5 0.4247 0.8516 0.9999 (multiplicity 2)
Nb1 0.0357 0.0716 0.2498 (multiplicity 2)
Nb2 0.1097 0.2145 0.7508 (multiplicity 2)
Nb3 0.1794 0.3569 0.2492 (multiplicity 2)
Nb4 0.2500 0.5000 0.7498 (multiplicity 2)
Nb5 0.3233 0.6436 0.2511 (multiplicity 2)
Nb6 0.3919 0.7855 0.7491 (multiplicity 2)
Nb7 0.4659 0.9285 0.2510 (multiplicity 2)
S1 0.0061 0.6779 0.3711 (multiplicity 2)
S2 0.0287 0.3914 0.8708 (multiplicity 2)
S3 0.1136 0.8936 0.1289 (multiplicity 2)
S4 0.1368 0.6086 0.6288 (multiplicity 2)
S5 0.1486 0.9629 0.3707 (multiplicity 2)
S6 0.1710 0.6771 0.8708 (multiplicity 2)
S7 0.2573 0.1800 0.1287 (multiplicity 2)
S8 0.2807 0.8943 0.6295 (multiplicity 2)
S9 0.2922 0.2488 0.3711 (multiplicity 2)
S10 0.3156 0.9635 0.8722 (multiplicity 2)
S11 0.3990 0.4654 0.1290 (multiplicity 2)
S12 0.4234 0.1795 0.6290 (multiplicity 2)
S13 0.4339 0.5348 0.3715 (multiplicity 2)
S14 0.4582 0.2494 0.8714 (multiplicity 2)

Results
- crystal system = triclinic
- size of the total moment (μB/f.u.) = 0.0
- calculated formation energy (eV/atom) = -1.412
- raw total energy (Ry/atom) = -0.9580



No. 4
# Ba2NCl

An optimized crystal structure of Ba2NCl (meta-GGA r2SCAN, the Materials Project database).

Cell lengths 4.1323, 4.1323, 22.9438 Å; angles 90.00, 90.00, 120.00 degrees
Space group R-3m (No. 166, hexagonal axes)
One atom of each set of equivalent atoms:
Ba1 0.0000 0.0000 0.2315 (multiplicity 6)
N1 0.0000 0.0000 0.5000 (multiplicity 3)
Cl1 0.0000 0.0000 0.0000 (multiplicity 3)

Results
- crystal system = trigonal
- size of the total moment (μB/f.u.) = 0.0
- calculated formation energy (eV/atom) = -1.493
- raw total energy (Ry/atom) = -1.3644



No. 5
# SiO2

An optimized crystal structure of SiO2 (meta-GGA r2SCAN, the Materials Project database).

Cell lengths 5.2328, 5.2328, 8.5398 Å; angles 90.00, 90.00, 120.00 degrees
Space group P6_3/mmc (No. 194)
One atom of each set of equivalent atoms:
Si1 0.3333 0.6667 0.0624 (multiplicity 4)
O1 0.0000 0.5000 0.0000 (multiplicity 6)
O2 0.3333 0.6667 0.2500 (multiplicity 2)

Results
- crystal system = hexagonal
- size of the total moment (μB/f.u.) = 0.0
- calculated formation energy (eV/atom) = -3.019
- raw total energy (Ry/atom) = -0.7295



No. 6
# YbErHg2

An optimized crystal structure of YbErHg2 (meta-GGA r2SCAN, the Materials Project database).

Cell lengths 7.2812, 7.2812, 7.2812 Å; angles 90.00, 90.00, 90.00 degrees
Space group Fm-3m (No. 225)
One atom of each set of equivalent atoms:
Yb1 0.0000 0.0000 0.0000 (multiplicity 4)
Er1 0.0000 0.0000 0.5000 (multiplicity 4)
Hg1 0.2500 0.2500 0.2500 (multiplicity 8)

Results
- crystal system = cubic
- size of the total moment (μB/f.u.) = 0.0
- calculated formation energy (eV/atom) = -0.570
- raw total energy (Ry/atom) = -3.1507